# 1
ZnFeO3, relaxed, DFT GGA+U; E_form = -1.464 eV/atom; E_tot = -5.52 eV per atom; SG = C2/c (15)
1.0
4.8367 -4.4674 0.0000
4.8367 4.4674 0.0000
-0.7107 0.0000 5.2638
Zn Fe O
4 4 12
Cartesian
1.5691 0.8481 1.5819
1.2138 -0.8481 4.2138
7.7488 0.8481 1.0500
7.3935 -0.8481 3.6819
4.6590 2.3669 1.3160
4.3037 0.7820 3.9479
4.6590 -0.7820 1.3160
4.3037 -2.3669 3.9479
0.8101 0.8844 3.3887
3.2047 2.1432 4.7819
1.1654 -0.8844 0.7568
3.5202 0.7346 1.9977
5.4026 2.1432 3.1139
3.1648 -0.7346 4.6296
5.7978 0.7346 0.6342
3.5601 -2.1432 2.1499
5.4425 -0.7346 3.2661
7.7972 0.8844 4.5070
5.7579 -2.1432 0.4820
8.1526 -0.8844 1.8751


# 2
Mg14CrBiO16, relaxed, DFT GGA+U; E_form = -2.703 eV/atom; E_tot = -5.89 eV per atom; SG = Pmmm (47)
1.0
4.3975 0.0000 0.0000
0.0000 8.7644 0.0000
0.0000 0.0000 8.8184
Mg Cr Bi O
14 1 1 16
Cartesian
0.0000 0.0000 0.0000
0.0000 2.1063 2.1249
0.0000 2.1063 6.6935
0.0000 4.3822 0.0000
0.0000 6.6581 2.1249
0.0000 6.6581 6.6935
2.1988 0.0000 2.1633
2.1988 0.0000 6.6551
2.1988 2.0535 4.4092
2.1988 2.1626 0.0000
2.1988 4.3822 2.0673
2.1988 4.3822 6.7511
2.1988 6.6017 0.0000
2.1988 6.7109 4.4092
0.0000 0.0000 4.4092
0.0000 4.3822 4.4092
0.0000 0.0000 2.0269
0.0000 0.0000 6.7915
0.0000 2.0414 4.4092
0.0000 2.2014 0.0000
0.0000 4.3822 2.0398
0.0000 4.3822 6.7786
0.0000 6.5629 0.0000
0.0000 6.7230 4.4092
2.1988 0.0000 0.0000
2.1988 0.0000 4.4092
2.1988 2.2038 2.2115
2.1988 2.2038 6.6069
2.1988 4.3822 0.0000
2.1988 4.3822 4.4092
2.1988 6.5605 2.2115
2.1988 6.5605 6.6069


# 3
Fe2H3F2, relaxed, DFT GGA+U; E_form = 0.419 eV/atom; E_tot = -3.23 eV per atom; SG = P4/n (85)
1.0
17.1678 0.0000 0.0000
0.0000 17.1678 0.0000
0.0000 0.0000 8.7156
Fe H F
8 12 8
Cartesian
0.0009 17.1656 1.1918
17.1669 0.0022 7.5237
17.1656 8.5830 1.1918
0.0022 8.5849 7.5237
8.5861 0.0009 1.1918
8.5817 17.1669 7.5237
8.5830 8.5861 1.1918
8.5849 8.5817 7.5237
0.0000 0.0000 4.3578
0.0000 8.5839 4.3578
1.7583 12.4377 1.2139
3.8538 15.4096 7.5017
4.7301 10.3422 7.5017
6.8256 13.3140 1.2139
8.5839 0.0000 4.3578
8.5839 8.5839 4.3578
10.3422 3.8538 7.5017
12.4377 6.8256 1.2139
13.3140 1.7583 1.2139
15.4096 4.7301 7.5017
17.1670 17.1673 3.2168
0.0008 0.0005 5.4988
17.1673 8.5847 3.2168
0.0005 8.5831 5.4988
8.5845 17.1670 3.2168
8.5834 0.0008 5.4988
8.5847 8.5845 3.2168
8.5831 8.5834 5.4988


# 4
Li5Mn4P8O28, relaxed, DFT GGA+U; E_form = -2.547 eV/atom; E_tot = -7.04 eV per atom; SG = P1 (1)
1.0
9.7839 0.0000 0.0000
0.0767 9.8019 0.0000
0.0575 2.5964 10.9681
Li Mn P O
10 8 16 56
Cartesian
0.0000 0.0000 0.0000
0.0620 1.5021 5.4924
3.0775 9.2745 0.1002
3.3157 6.4005 5.5183
4.4783 3.7343 6.0137
5.0195 2.3448 0.9692
5.1888 7.7162 0.7223
6.8554 11.0619 6.4757
8.0666 2.8526 0.7559
8.2980 8.3327 6.3091
1.2815 6.6095 2.3562
1.8245 1.7789 2.2860
3.4116 8.3094 7.8840
4.7401 1.5008 4.0289
6.3657 8.0370 9.5857
6.8095 3.2528 9.5497
8.2630 6.3856 4.0751
9.7085 3.3602 7.8747
0.6148 6.2630 6.8135
1.3159 9.5955 10.2073
1.9741 4.8406 10.2369
2.6946 11.2076 6.8691
3.3799 8.5235 3.1016
3.5692 4.5032 3.1268
4.5317 5.3831 8.7749
4.9039 11.0973 8.7726
5.5255 8.3995 5.2024
6.1961 5.0758 1.7365
6.9904 9.9195 1.6766
7.5232 3.4917 5.0846
8.2114 6.2479 8.7178
8.5911 10.2385 8.7205
9.4718 9.3241 3.1959
9.7112 3.5281 3.1499
0.0650 5.0288 3.4098
0.1599 9.4732 9.0661
0.6048 9.9011 2.0893
0.6815 4.7211 6.7824
0.7124 6.3209 0.5172
0.7957 3.9966 9.6861
0.9810 2.6397 3.8988
1.1925 1.9649 7.0248
1.5248 11.0777 10.4505
1.7507 6.2516 10.6217
2.0031 6.8555 6.8964
2.3247 7.5747 3.7663
2.4831 8.8410 9.5643
2.5312 5.1631 2.2108
2.6099 9.6663 6.7915
2.5440 1.3946 0.4851
3.0730 4.7382 9.0576
3.1521 10.0250 3.3769
3.4431 11.5619 8.2538
3.4245 2.0368 5.7520
3.4409 4.7182 4.6104
3.4839 8.1602 1.6344
3.6395 2.9874 2.7006
4.4700 6.9536 8.9905
4.5881 7.7563 6.2429
4.7881 8.1252 3.7750
4.9025 11.5545 10.2242
4.8472 4.9842 7.3705
4.9690 5.2084 2.7640
5.0208 9.5729 8.5511
5.4413 4.8486 9.8986
5.6811 9.9115 5.3679
5.6996 5.8145 0.4389
5.7264 0.9608 2.1721
5.8885 2.0868 7.9925
6.1241 2.8882 5.0135
6.4270 3.6136 1.4701
6.7250 8.4902 1.3528
6.8926 7.7371 5.0486
7.1974 7.1932 7.9778
7.3249 5.8471 2.4118
7.4695 5.0212 5.1605
7.5296 9.7205 9.6810
7.6626 0.8689 0.5115
8.0015 6.6589 10.1732
8.0147 9.9325 2.9492
8.0922 4.7367 8.4533
8.2577 3.0924 3.6945
8.3260 9.9854 7.2524
8.3659 2.8155 6.1790
8.8007 11.7967 9.0056
9.4004 7.7395 2.9386
9.5028 6.8456 5.7030
9.6651 6.6832 8.2108
9.7808 9.6510 4.6210
9.7893 3.0280 1.7172


# 5
Sr8MgZn4W4O24, relaxed, DFT GGA+U; E_form = -2.604 eV/atom; E_tot = -6.42 eV per atom; SG = P1 (1)
1.0
7.8828 0.0000 0.0000
0.0463 8.0281 0.0000
0.1348 0.4964 8.7144
Sr Mg Zn W O
8 1 4 4 24
Cartesian
0.0000 0.0000 0.0000
0.1778 4.3394 8.6619
0.1560 4.1627 4.4812
0.3650 8.2311 5.1658
3.9880 7.7021 3.8866
4.0440 3.7006 4.1309
4.0130 3.3843 0.0584
4.1933 7.9935 8.5526
7.4310 7.1042 2.8715
1.9523 1.7138 2.0427
2.2264 6.0571 6.7866
5.7691 5.4350 1.7011
5.9846 2.0510 6.2927
1.9870 5.7244 1.9533
2.2211 2.1844 6.6460
6.0326 6.1096 6.4129
6.0130 1.7289 2.3144
0.0890 1.0604 2.6164
0.2286 2.3415 6.4377
1.3363 6.3608 3.7980
1.6914 3.8491 2.4083
1.9243 2.5263 8.5890
2.0049 8.2713 7.0250
2.2890 7.6208 1.5703
2.3887 4.0481 6.1879
2.4228 1.6911 4.8060
2.4424 5.2840 0.0103
3.9408 5.5420 2.4952
3.9874 2.0210 2.1793
4.1134 2.0433 7.0545
4.1533 6.4642 6.1373
5.7498 5.7642 8.3504
5.7462 7.7337 1.9369
5.7780 1.5774 4.2920
5.8599 4.2181 6.0320
6.3282 8.0322 6.9056
6.2911 3.7367 2.6279
6.2888 1.9968 0.4283
6.3917 6.5176 4.5373
7.8664 5.9155 1.3839
8.0032 5.8867 6.6261


# 6
Y2Te3MoO12, relaxed, DFT GGA+U; E_form = -2.372 eV/atom; E_tot = -6.88 eV per atom; SG = Pnma (62)
1.0
18.0080 0.0000 0.0000
0.0000 11.2260 0.0000
0.0000 0.0000 5.2659
Y Te Mo O
8 12 4 48
Cartesian
1.1002 0.8747 1.2864
1.1002 4.7383 1.2864
7.9038 6.4877 3.9194
7.9038 10.3513 3.9194
10.1042 0.8747 1.3466
10.1042 4.7383 1.3466
16.9078 6.4877 3.9795
16.9078 10.3513 3.9795
0.8378 8.4195 1.4806
3.0224 6.5719 3.8315
3.0224 10.2672 3.8315
5.9816 0.9589 1.1985
5.9816 4.6542 1.1985
8.1663 2.8065 4.1136
9.8418 8.4195 1.1524
12.0264 6.5719 4.0675
12.0264 10.2672 4.0675
14.9856 0.9589 1.4345
14.9856 4.6542 1.4345
17.1703 2.8065 3.7853
3.2069 2.8065 3.8918
5.7971 8.4195 1.2588
12.2109 2.8065 4.0071
14.8011 8.4195 1.3742
0.1777 6.9053 0.5075
0.1777 9.9338 0.5075
0.6401 2.8065 2.5284
1.2784 6.3121 3.0525
1.2784 10.5269 3.0525
2.1592 2.8065 0.1257
2.5379 8.4195 4.4918
2.8301 5.7399 0.2192
2.8301 11.0992 0.2192
3.0677 1.3336 2.8304
3.0677 4.2794 2.8304
4.1445 8.4195 1.8522
4.8595 2.8065 4.4852
5.9363 6.9466 0.1974
5.9363 9.8925 0.1974
6.1739 0.1269 2.8522
6.1739 5.4862 2.8522
6.4661 2.8065 1.8588
6.8448 8.4195 2.7587
7.7257 0.6991 0.4195
7.7257 4.9139 0.4195
8.3639 8.4195 5.1614
8.8263 1.2923 3.1405
8.8263 4.3207 3.1405
9.1817 6.9053 2.1255
9.1817 9.9338 2.1255
9.6441 2.8065 0.1046
10.2824 6.3121 4.8465
10.2824 10.5269 4.8465
11.1632 2.8065 2.5072
11.5419 8.4195 3.4071
11.8341 5.7399 2.4137
11.8341 11.0992 2.4137
12.0717 1.3336 5.0686
12.0717 4.2794 5.0686
13.1485 8.4195 0.7807
13.8635 2.8065 3.4137
14.9403 6.9466 2.4356
14.9403 9.8925 2.4356
15.1779 0.1269 5.0467
15.1779 5.4862 5.0467
15.4701 2.8065 0.7741
15.8488 8.4195 5.1402
16.7297 0.6991 2.2135
16.7297 4.9139 2.2135
17.3679 8.4195 2.7376
17.8303 1.2923 4.7585
17.8303 4.3207 4.7585


# 7
Ca2La5Mn7NiO24, relaxed, DFT GGA+U; E_form = -2.665 eV/atom; E_tot = -7.45 eV per atom; SG = P1 (1)
1.0
5.4776 0.0000 0.0000
0.0003 7.6920 0.0000
0.0221 0.0197 10.9822
Ca La Mn Ni O
2 5 7 1 24
Cartesian
0.0000 0.0000 0.0000
2.6559 7.6835 2.6727
2.6893 3.8249 2.4856
2.7071 0.0320 8.0860
2.7066 3.8155 7.7386
5.3978 3.8335 10.6219
5.4451 0.0333 5.3479
2.6763 1.8926 10.7541
2.6871 5.8171 10.7608
2.7030 5.7153 5.2080
2.7118 1.9535 5.2261
5.4295 5.7581 7.9701
5.4245 1.9028 2.5375
5.4246 5.7660 2.5439
5.4324 1.9415 7.9748
0.2596 3.8326 2.3568
0.2926 3.9029 8.1618
1.1739 6.0845 9.5488
1.2086 1.6499 9.5868
1.2040 1.5963 3.9290
1.2086 6.0817 3.9457
1.4704 6.0140 6.7619
1.4670 6.0469 1.2751
1.4693 1.6212 1.3017
1.5064 1.6758 6.7017
2.3436 3.8337 5.1751
2.3537 3.8535 10.8450
2.9916 7.6763 5.2137
3.1352 7.7001 10.6464
3.8407 2.1916 9.2590
3.8534 5.6248 3.6535
3.8609 2.0394 3.6392
3.8753 5.4980 9.2186
4.0736 2.0644 6.4817
4.1061 5.5742 6.5349
4.1832 5.5043 0.9774
4.1942 2.1680 0.9857
5.0364 7.6827 2.4391
5.1337 7.6438 7.8739


# 8
MgMn4Fe2O12, relaxed, DFT GGA+U; E_form = -1.831 eV/atom; E_tot = -6.84 eV per atom; SG = P1 (1)
1.0
5.1002 0.0000 0.0000
2.5489 4.4406 0.0000
0.0626 0.1111 10.2463
Mg Mn Fe O
1 4 2 12
Cartesian
0.0000 0.0000 0.0000
3.0112 3.8095 7.5696
3.0057 0.8773 7.6957
5.5292 3.7681 2.5500
5.5360 0.8365 2.6627
2.9652 2.2942 2.6421
5.5414 2.3503 7.6116
1.2531 0.7822 8.7106
2.2104 2.3123 6.6899
3.7744 3.8562 1.5337
2.1186 0.7433 3.5473
3.7874 2.3708 8.6700
4.6973 3.9015 6.6942
4.7378 2.3291 3.5519
3.9214 0.7376 1.5167
4.6340 0.8113 6.6808
6.4994 3.9019 8.7225
7.1590 3.8396 3.5634
6.3176 2.2854 1.5729